Entry from Materials Project: an optimized crystal structure of KGdSe2O8 (GGA-PBE).

```
96
Lattice="28.032 0.000 0.000 0.000 5.780 0.000 0.000 0.000 9.205" Properties=species:S:1:pos:R:3 pbc="T T T"
K 2.277 1.415 0.000
K 4.702 4.124 6.089
K 9.314 1.234 1.486
K 11.739 4.305 4.603
K 16.293 1.475 0.000
K 18.718 4.546 6.089
K 23.330 1.656 1.486
K 25.755 4.365 4.603
Gd 1.483 1.299 4.864
Gd 5.573 3.916 1.141
Gd 8.443 1.026 5.744
Gd 12.533 4.189 0.261
Gd 15.499 1.591 4.864
Gd 19.589 4.754 1.141
Gd 22.459 1.864 5.744
Gd 26.549 4.481 0.261
Se 1.245 4.414 6.723
Se 1.872 4.247 2.371
Se 5.120 1.100 3.594
Se 5.802 1.214 8.510
Se 8.214 4.104 3.907
Se 8.896 3.990 8.197
Se 12.144 1.357 6.974
Se 12.771 1.524 2.120
Se 15.261 4.256 6.723
Se 15.888 4.423 2.371
Se 19.136 1.790 3.594
Se 19.818 1.676 8.510
Se 22.230 4.566 3.907
Se 22.912 4.680 8.197
Se 26.161 1.533 6.974
Se 26.787 1.366 2.120
O 0.286 4.790 5.405
O 0.324 3.991 1.798
O 0.485 4.322 8.199
O 2.020 0.026 2.968
O 2.136 3.006 6.513
O 2.155 3.149 3.595
O 2.327 5.711 6.740
O 2.981 4.063 1.134
O 3.993 1.177 4.825
O 4.722 2.212 2.416
O 4.788 2.566 8.467
O 4.848 5.663 8.886
O 5.111 5.344 2.936
O 6.438 0.982 6.985
O 6.639 1.468 4.183
O 6.863 1.554 0.536
O 7.153 4.444 5.138
O 7.377 4.358 8.785
O 7.579 3.872 2.383
O 8.905 2.454 7.538
O 9.168 2.773 4.283
O 9.228 5.456 3.864
O 9.294 5.102 7.018
O 10.023 4.067 0.222
O 11.035 1.173 5.736
O 11.689 2.821 2.137
O 11.861 0.259 8.197
O 11.880 0.116 1.910
O 11.996 2.916 7.571
O 13.532 1.432 3.597
O 13.692 1.101 6.401
O 13.730 1.900 0.803
O 14.303 3.880 5.405
O 14.340 4.679 1.798
O 14.501 4.348 8.199
O 16.036 2.864 2.968
O 16.152 5.664 6.513
O 16.172 5.521 3.595
O 16.343 2.959 6.740
O 16.997 4.607 1.134
O 18.009 1.713 4.825
O 18.738 0.678 2.416
O 18.804 0.324 8.467
O 18.864 3.007 8.886
O 19.127 3.326 2.936
O 20.454 1.908 6.985
O 20.655 1.422 4.183
O 20.879 1.336 0.536
O 21.169 4.226 5.138
O 21.393 4.312 8.785
O 21.595 4.798 2.383
O 22.921 0.436 7.538
O 23.184 0.117 4.283
O 23.244 3.214 3.864
O 23.310 3.568 7.018
O 24.039 4.603 0.222
O 25.051 1.717 5.736
O 25.705 0.069 2.137
O 25.877 2.631 8.197
O 25.896 2.774 1.910
O 26.012 5.754 7.571
O 27.548 1.458 3.597
O 27.708 1.789 6.401
O 27.746 0.990 0.803
```

Calculated values
Its space group is No. 33. The formation enthalpy at 0 K comes out at -1995 meV per atom. As for the crystal system: orthorhombic. The magnetization comes out at 0.584 μB per atom.



Entry from Materials Project: an optimized crystal structure of CeMgHg2 (GGA-PBE).

```
4
Lattice="0.000 3.667 3.667 3.667 0.000 3.667 3.667 3.667 0.000" Properties=species:S:1:pos:R:3 pbc="T T T"
Ce 0.000 0.000 0.000
Mg 3.667 3.667 3.667
Hg 1.833 1.833 1.833
Hg 5.500 5.500 5.500
```

Calculated values
Its space group is No. 225. The formation enthalpy at 0 K comes out at -393 meV per atom. As for the crystal system: cubic.



Entry from Materials Project: an optimized crystal structure of CaHo3 (GGA-PBE).

```
4
Lattice="-2.545 2.545 5.065 2.545 -2.545 5.065 2.545 2.545 -5.065" Properties=species:S:1:pos:R:3 pbc="T T T"
Ca 0.000 0.000 0.000
Ho 2.545 0.000 2.532
Ho 0.000 0.000 5.065
Ho 0.000 2.545 2.532
```

Calculated values
Its space group is No. 139. The formation enthalpy at 0 K comes out at 140 meV per atom. As for the crystal system: tetragonal. The magnetization comes out at 0.004 μB per atom.



Entry from Materials Project: an optimized crystal structure of ErCuPbS3 (GGA-PBE).

```
12
Lattice="1.960 -6.541 0.000 1.960 6.541 0.000 0.000 0.000 10.152" Properties=species:S:1:pos:R:3 pbc="T T T"
Er 1.960 6.498 5.076
Er 1.960 -6.498 0.000
Cu 1.960 0.433 2.525
Cu 1.960 -0.433 7.601
Pb 1.960 3.247 7.838
Pb 1.960 -3.247 2.762
S 1.960 5.587 2.520
S 1.960 1.802 0.641
S 1.960 1.774 4.414
S 1.960 -1.774 9.490
S 1.960 -1.802 5.718
S 1.960 -5.587 7.596
```

Calculated values
Its space group is No. 36. The formation enthalpy at 0 K comes out at -1353 meV per atom. As for the crystal system: orthorhombic. The magnetization comes out at 0.000 μB per atom.



Entry from Materials Project: an optimized crystal structure of YMg6BO8 (GGA-PBE).

```
16
Lattice="4.374 0.000 0.000 0.000 4.374 0.000 0.000 0.000 9.037" Properties=species:S:1:pos:R:3 pbc="T T T"
Y 0.000 0.000 0.000
Mg 0.000 2.187 2.488
Mg 0.000 2.187 6.549
Mg 2.187 0.000 2.488
Mg 2.187 0.000 6.549
Mg 2.187 2.187 0.000
Mg 2.187 2.187 4.518
B 0.000 0.000 4.518
O 0.000 0.000 2.213
O 0.000 0.000 6.824
O 0.000 2.187 0.000
O 0.000 2.187 4.518
O 2.187 0.000 0.000
O 2.187 0.000 4.518
O 2.187 2.187 2.267
O 2.187 2.187 6.770
```

Calculated values
Its space group is No. 123. The formation enthalpy at 0 K comes out at -2552 meV per atom. As for the crystal system: tetragonal. The magnetization comes out at 0.001 μB per atom.



Entry from Materials Project: an optimized crystal structure of Ba3SmB9O18 (GGA-PBE).

```
62
Lattice="7.307 0.000 0.000 -3.654 6.328 0.000 0.000 0.000 17.775" Properties=species:S:1:pos:R:3 pbc="T T T"
Ba 0.000 0.000 4.444
Ba 0.000 0.000 13.331
Ba 0.000 4.219 2.370
Ba 0.000 4.219 6.518
Ba 3.654 2.109 11.257
Ba 3.654 2.109 15.405
Sm 0.000 0.000 0.000
Sm 0.000 0.000 8.887
B -0.951 3.136 13.331
B -1.403 4.516 10.349
B -1.403 4.516 16.313
B 0.444 2.855 10.349
B 0.444 2.855 16.313
B -0.462 5.584 13.331
B 2.695 1.043 1.462
B 2.695 1.043 7.425
B 2.240 2.392 4.444
B 1.414 3.936 13.331
B 0.959 5.285 10.349
B 0.959 5.285 16.313
B 4.116 0.744 4.444
B 3.209 3.473 1.462
B 3.209 3.473 7.425
B 5.057 1.812 1.462
B 5.057 1.812 7.425
B 4.605 3.192 4.444
O -2.713 4.752 10.351
O -2.713 4.752 16.311
O -1.857 4.217 4.444
O -0.928 3.183 10.343
O -0.928 3.183 16.319
O -1.365 4.485 13.331
O 0.895 1.603 10.351
O 0.895 1.603 16.311
O 1.835 0.026 1.464
O 1.835 0.026 7.424
O 0.452 2.904 13.331
O 0.930 2.612 4.444
O -0.433 5.540 10.343
O -0.433 5.540 16.319
O 2.727 0.501 13.331
O 2.741 1.061 4.444
O 1.361 3.933 10.343
O 1.361 3.933 16.319
O 2.293 2.396 1.456
O 2.293 2.396 7.432
O 0.913 5.267 13.331
O 0.927 5.827 4.444
O 4.086 0.788 1.456
O 4.086 0.788 7.432
O 2.724 3.716 13.331
O 3.202 3.424 4.444
O 1.818 6.302 10.351
O 1.818 6.302 16.311
O 2.758 4.726 1.464
O 2.758 4.726 7.424
O 5.018 1.843 4.444
O 4.582 3.145 1.456
O 4.582 3.145 7.432
O 5.510 2.111 13.331
O 6.367 1.577 1.464
O 6.367 1.577 7.424
```

Calculated values
Its space group is No. 176. The formation enthalpy at 0 K comes out at -3122 meV per atom. As for the crystal system: hexagonal. The magnetization comes out at 0.000 μB per atom.



Entry from Materials Project: an optimized crystal structure of K3AgSn3Se8 (GGA-PBE).

```
30
Lattice="8.315 0.000 0.000 0.000 8.315 0.000 0.000 0.000 13.682" Properties=species:S:1:pos:R:3 pbc="T T T"
K 2.079 2.079 0.000
K 2.079 2.079 3.749
K 2.079 2.079 9.933
K 6.236 6.236 0.000
K 6.236 6.236 3.749
K 6.236 6.236 9.933
Ag 2.079 6.236 0.000
Ag 6.236 2.079 0.000
Sn 2.079 6.236 3.294
Sn 2.079 6.236 6.841
Sn 2.079 6.236 10.388
Sn 6.236 2.079 3.294
Sn 6.236 2.079 6.841
Sn 6.236 2.079 10.388
Se 0.596 4.753 1.889
Se 0.596 7.719 11.792
Se 0.711 4.868 8.560
Se 0.711 7.604 5.122
Se 3.447 4.868 5.122
Se 3.447 7.604 8.560
Se 3.562 4.753 11.792
Se 3.562 7.719 1.889
Se 4.753 0.596 11.792
Se 4.753 3.562 1.889
Se 4.868 0.711 5.122
Se 4.868 3.447 8.560
Se 7.604 0.711 8.560
Se 7.604 3.447 5.122
Se 7.719 0.596 1.889
Se 7.719 3.562 11.792
```

Calculated values
Its space group is No. 125. The formation enthalpy at 0 K comes out at -917 meV per atom. As for the crystal system: tetragonal. The magnetization comes out at 0.000 μB per atom.



Entry from Materials Project: an optimized crystal structure of MgV4Cu2S8 (GGA-PBE).

```
15
Lattice="6.032 -3.484 0.000 6.032 3.484 0.000 -4.020 0.000 6.075" Properties=species:S:1:pos:R:3 pbc="T T T"
Mg 0.000 0.000 0.000
V 4.022 0.000 3.000
V 2.152 0.000 5.986
V 4.962 1.622 5.987
V 4.962 -1.622 5.987
Cu 0.007 0.000 2.571
Cu 8.046 0.000 3.511
S 2.120 0.000 1.386
S 4.976 1.649 1.387
S 3.061 1.671 4.478
S 0.004 0.000 4.803
S 4.976 -1.649 1.387
S 3.061 -1.671 4.478
S 5.952 0.000 4.477
S 8.045 0.000 1.336
```

Calculated values
Its space group is No. 8. The formation enthalpy at 0 K comes out at -1020 meV per atom. As for the crystal system: monoclinic. The magnetization comes out at 0.369 μB per atom.



Entry from Materials Project: an optimized crystal structure of Rb2SmBr5 (GGA-PBE).

```
32
Lattice="14.157 0.000 0.000 0.000 9.312 0.000 0.000 0.000 8.811" Properties=species:S:1:pos:R:3 pbc="T T T"
Rb 2.442 0.041 0.477
Rb 2.442 4.615 0.477
Rb 4.637 4.697 4.883
Rb 4.637 9.271 4.883
Rb 9.520 0.041 3.928
Rb 9.520 4.615 3.928
Rb 11.715 4.697 8.334
Rb 11.715 9.271 8.334
Sm 0.057 2.328 5.054
Sm 7.022 6.984 0.648
Sm 7.135 2.328 8.163
Sm 14.100 6.984 3.758
Br 0.158 2.328 7.999
Br 1.019 5.056 5.814
Br 1.019 8.913 5.814
Br 2.430 2.328 3.373
Br 2.769 6.984 3.034
Br 4.309 2.328 7.440
Br 4.649 6.984 7.778
Br 6.060 0.400 1.409
Br 6.060 4.256 1.409
Br 6.920 6.984 3.593
Br 7.237 2.328 5.218
Br 8.097 5.056 7.403
Br 8.097 8.913 7.403
Br 9.508 2.328 1.033
Br 9.847 6.984 1.372
Br 11.388 2.328 5.777
Br 11.727 6.984 5.438
Br 13.138 0.400 2.997
Br 13.138 4.256 2.997
Br 13.998 6.984 0.812
```

Calculated values
Its space group is No. 62. The formation enthalpy at 0 K comes out at -2207 meV per atom. As for the crystal system: orthorhombic.



Entry from Materials Project: an optimized crystal structure of Np3Hg (GGA-PBE).

```
4
Lattice="-2.269 2.269 4.717 2.269 -2.269 4.717 2.269 2.269 -4.717" Properties=species:S:1:pos:R:3 pbc="T T T"
Np 0.000 0.000 0.000
Np 2.269 0.000 2.359
Np 0.000 2.269 2.359
Hg 0.000 0.000 4.717
```

Calculated values
Its space group is No. 139. The formation enthalpy at 0 K comes out at 549 meV per atom. As for the crystal system: tetragonal. The magnetization comes out at 3.324 μB per atom.



Entry from Materials Project: an optimized crystal structure of K2AlAuBr6 (GGA-PBE).

```
10
Lattice="0.000 5.382 5.382 5.382 0.000 5.382 5.382 5.382 0.000" Properties=species:S:1:pos:R:3 pbc="T T T"
K 2.691 2.691 2.691
K 8.073 8.073 8.073
Al 0.000 0.000 0.000
Au 5.382 5.382 5.382
Br 5.382 5.382 2.545
Br 5.382 2.545 5.382
Br 8.219 5.382 5.382
Br 2.545 5.382 5.382
Br 5.382 8.219 5.382
Br 5.382 5.382 8.219
```

Calculated values
Its space group is No. 225. The formation enthalpy at 0 K comes out at -1383 meV per atom. As for the crystal system: cubic. The magnetization comes out at 0.000 μB per atom.



Entry from Materials Project: an optimized crystal structure of U3In (GGA-PBE).

```
4
Lattice="4.466 0.000 0.000 0.000 4.466 0.000 0.000 0.000 4.466" Properties=species:S:1:pos:R:3 pbc="T T T"
U 0.000 0.000 2.233
U 0.000 2.233 0.000
U 2.233 0.000 0.000
In 2.233 2.233 2.233
```

Calculated values
Its space group is No. 221. The formation enthalpy at 0 K comes out at 324 meV per atom. As for the crystal system: cubic. The magnetization comes out at 0.244 μB per atom.



Entry from Materials Project: an optimized crystal structure of Ba3B6H2O13 (GGA-PBE).

```
48
Lattice="7.037 0.000 0.000 0.000 7.106 0.000 -0.193 0.000 11.493" Properties=species:S:1:pos:R:3 pbc="T T T"
Ba 0.000 1.061 0.000
Ba -0.097 6.045 5.746
Ba 2.026 1.755 7.764
Ba 2.123 5.351 2.018
Ba 4.323 1.657 3.359
Ba 4.227 5.449 9.106
B 1.134 1.828 3.358
B 1.037 5.278 9.104
B 2.025 3.533 10.716
B 2.121 3.574 4.969
B 3.304 1.348 11.184
B 3.400 5.759 5.437
B 4.602 3.546 0.356
B 4.506 3.561 6.103
B 5.599 1.826 7.624
B 5.696 5.280 1.877
B 6.808 2.504 5.439
B 6.711 4.602 11.185
H 4.329 0.418 6.767
H 4.426 6.688 1.021
H 6.073 2.752 9.367
H 6.170 4.354 3.621
O 0.061 1.620 4.238
O -0.036 5.486 9.984
O 0.909 3.392 5.764
O 1.006 3.714 0.018
O 1.429 0.985 2.350
O 1.332 6.122 8.096
O 1.940 2.978 3.591
O 1.844 4.128 9.338
O 2.280 2.059 10.517
O 2.377 5.047 4.771
O 3.265 2.941 5.612
O 3.168 4.166 11.359
O 3.392 0.009 11.090
O 3.489 7.097 5.343
O 4.428 2.058 0.466
O 4.332 5.048 6.213
O 4.683 0.626 7.692
O 4.780 6.480 1.946
O 4.838 3.072 7.444
O 4.934 4.035 1.698
O 5.616 3.314 5.132
O 5.519 3.793 10.879
O 6.349 1.924 8.915
O 6.445 5.183 3.169
O 6.567 1.560 6.538
O 6.664 5.546 0.792
```

Calculated values
Its space group is No. 7. The formation enthalpy at 0 K comes out at -2883 meV per atom. As for the crystal system: monoclinic. The magnetization comes out at 0.000 μB per atom.